No. 1
Entry from the Materials Project database: crystalline Nd2Sn5 at its relaxed geometry (r2SCAN).

Geometry as POSCAR:
```
Nd2Sn5
1.0
2.301 -17.837 0.000
2.301 17.837 0.000
0.000 0.000 4.671
Nd Sn
4 10
direct
0.069 0.931 0.000
0.202 0.798 0.000
0.798 0.202 0.000
0.931 0.069 0.000
0.000 0.000 0.500
0.138 0.862 0.500
0.278 0.722 0.500
0.363 0.637 0.000
0.428 0.572 0.500
0.500 0.500 0.000
0.572 0.428 0.500
0.637 0.363 0.000
0.722 0.278 0.500
0.862 0.138 0.500
```

Properties
DFT formation energy   -0.58 eV per atom
Total moment   0.00 μB per formula unit
Space group   Cmmm



No. 2
Entry from the Materials Project database: crystalline KMn3O6 at its relaxed geometry (r2SCAN).

Geometry as POSCAR:
```
KMn3O6
1.0
6.553 -2.836 0.000
6.553 2.836 0.000
-0.568 0.000 15.524
K Mn O
4 12 24
direct
0.155 0.825 0.901
0.175 0.845 0.599
0.825 0.155 0.401
0.845 0.175 0.099
0.118 0.369 0.419
0.124 0.373 0.750
0.136 0.388 0.080
0.369 0.118 0.919
0.373 0.124 0.250
0.388 0.136 0.580
0.612 0.864 0.420
0.627 0.876 0.750
0.631 0.882 0.081
0.864 0.612 0.920
0.876 0.627 0.250
0.882 0.631 0.581
0.041 0.282 0.875
0.056 0.299 0.529
0.061 0.314 0.184
0.190 0.439 0.315
0.196 0.450 0.970
0.210 0.464 0.626
0.282 0.041 0.375
0.299 0.056 0.029
0.314 0.061 0.684
0.439 0.190 0.815
0.450 0.196 0.470
0.464 0.210 0.126
0.536 0.790 0.874
0.550 0.804 0.530
0.561 0.810 0.185
0.686 0.939 0.316
0.701 0.944 0.971
0.718 0.959 0.625
0.790 0.536 0.374
0.804 0.550 0.030
0.810 0.561 0.685
0.939 0.686 0.816
0.944 0.701 0.471
0.959 0.718 0.125
```

Properties
DFT formation energy   -2.11 eV per atom
Total moment   10.00 μB per formula unit
Space group   C2/c